i:
The following is a DFT calculation (PBE) of a relaxed structure of MgTl2Pb16Br18O8.

Lattice parameters (Å, degrees): 8.5612 12.7563 12.8668 88.07 90.28 91.80
Positions (direct):
Pb 0.6390 0.1168 0.8123
Pb 0.8244 0.1724 0.5379
Pb 0.1709 0.0230 0.8370
Pb 0.3635 0.3055 0.8887
Pb 0.6291 0.6844 0.1175
Pb 0.8262 0.3340 0.9778
Pb 0.1859 0.4796 0.6696
Pb 0.1777 0.6633 0.0222
Pb 0.8245 0.9721 0.1451
Pb 0.3573 0.2034 0.6228
Pb 0.8149 0.5229 0.3410
Pb 0.3486 0.5619 0.2993
Pb 0.6504 0.3918 0.6970
Pb 0.3583 0.8770 0.1830
Pb 0.1896 0.7313 0.4386
Pb 0.6540 0.8007 0.3718
Br 0.0045 0.2562 0.7466
Br 0.1173 0.1292 0.0314
Br 0.8873 0.5373 0.8598
Br 0.8704 0.6215 0.5414
Br 0.8696 0.8657 0.9534
Br 0.1296 0.0730 0.3696
Br 0.3860 0.9406 0.6302
Br 0.0884 0.4650 0.1366
Br 0.6068 0.0766 0.3771
Br 0.1271 0.3828 0.4679
Br 0.8716 0.9738 0.6457
Br 0.9921 0.7660 0.2342
Br 0.6013 0.1291 0.0683
Br 0.3873 0.8685 0.9244
Br 0.4319 0.6237 0.5794
Br 0.6037 0.3684 0.4396
Br 0.6212 0.4268 0.1253
Br 0.3956 0.5679 0.8821
O 0.3914 0.8444 0.3619
O 0.6303 0.2993 0.8590
O 0.6274 0.2097 0.6502
O 0.3706 0.1456 0.8003
O 0.6258 0.8535 0.1926
O 0.3779 0.3625 0.7096
O 0.6203 0.6390 0.2981
O 0.3637 0.6935 0.1489
Tl 0.6624 0.7492 0.7531
Tl 0.3505 0.2825 0.2467
Mg 0.3565 0.9721 0.4372

Output
space-group type	No. 1
magnetization	0.00	μB per formula unit
calculated density	6.29	g/cm³

ii:
The following is a DFT calculation (PBE) of a relaxed structure of MgTl2Pb16Br18O8.

Lattice parameters (Å, degrees): 8.6289 12.6148 12.6148 90.00 90.00 90.00
Positions (direct):
Br 0.6358 0.3701 0.4467
Br 0.1245 0.0381 0.3693
Br 0.0000 0.2500 0.7500
Br 0.6223 0.0664 0.3680
Br 0.3642 0.9467 0.6299
Br 0.6358 0.1299 0.0533
Br 0.1082 0.1406 0.0522
Br 0.3777 0.6320 0.5664
Br 0.8755 0.6307 0.5381
Br 0.3642 0.5533 0.8701
Br 0.1245 0.4619 0.1307
Br 0.1082 0.3594 0.4478
Br 0.0000 0.7500 0.2500
Br 0.6223 0.4336 0.1320
Br 0.8755 0.8693 0.9619
Br 0.3777 0.8680 0.9336
Br 0.8918 0.5522 0.8594
Br 0.8918 0.9478 0.6406
Pb 0.3822 0.2963 0.9728
Pb 0.3592 0.6132 0.3057
Pb 0.8273 0.5235 0.3311
Pb 0.1727 0.8311 0.4765
Pb 0.8273 0.9765 0.1689
Pb 0.1804 0.0466 0.8419
Pb 0.3822 0.2037 0.5272
Pb 0.6178 0.0272 0.7963
Pb 0.8196 0.1581 0.5466
Pb 0.6178 0.4728 0.7037
Pb 0.1727 0.6689 0.0235
Pb 0.8196 0.3419 0.9534
Pb 0.1804 0.4534 0.6581
Pb 0.6408 0.6943 0.1132
Pb 0.3592 0.8868 0.1943
Pb 0.6408 0.8057 0.3868
O 0.6054 0.1567 0.6486
O 0.6273 0.8575 0.2033
O 0.3946 0.3514 0.6567
O 0.3727 0.7033 0.1425
O 0.3946 0.1486 0.8433
O 0.6054 0.3433 0.8514
O 0.6273 0.6425 0.2967
O 0.3727 0.7967 0.3575
Tl 0.3626 0.2500 0.2500
Tl 0.6374 0.7500 0.7500
Mg 0.5000 0.2500 0.7500

Output
space-group type	No. 81
magnetization	2.00	μB per formula unit
calculated density	6.43	g/cm³

It is i that is most stable; the runner-up trails by 22 meV per atom.

i:
The following is a DFT calculation (PBE) of a relaxed structure of MgTl2Pb16Br18O8.

Lattice parameters (Å, degrees): 8.4653 12.6312 12.9602 92.08 89.60 90.66
Positions (direct):
Pb 0.3668 0.3000 0.8936
Pb 0.6492 0.6950 0.1090
Pb 0.3548 0.6143 0.2896
Pb 0.3648 0.8912 0.1936
Pb 0.1768 0.4706 0.7024
Pb 0.6456 0.3823 0.6975
Pb 0.6476 0.1096 0.8013
Pb 0.8187 0.1614 0.5206
Pb 0.1724 0.6736 0.0198
Pb 0.3538 0.1857 0.6220
Pb 0.8260 0.3314 0.9776
Pb 0.6601 0.8100 0.3727
Pb 0.1835 0.8324 0.4604
Pb 0.8316 0.9829 0.1568
Pb 0.8186 0.5114 0.3108
Pb 0.1781 0.0153 0.8336
Br 0.3862 0.8704 0.9364
Br 0.1189 0.3733 0.4772
Br 0.1187 0.1368 0.0334
Br 0.1063 0.4734 0.1380
Br 0.1073 0.0476 0.3546
Br 0.5957 0.4326 0.1205
Br 0.6012 0.0687 0.3677
Br 0.8594 0.6213 0.5811
Br 0.3666 0.6206 0.5734
Br 0.0051 0.7799 0.2205
Br 0.8833 0.5352 0.8756
Br 0.0027 0.2484 0.7526
Br 0.6127 0.3679 0.4362
Br 0.3949 0.9266 0.6354
Br 0.3952 0.5663 0.8711
Br 0.8851 0.9632 0.6277
Br 0.6018 0.1351 0.0637
Br 0.8782 0.8709 0.9509
Tl 0.6548 0.7648 0.7556
Tl 0.3451 0.2379 0.2471
O 0.6347 0.2934 0.8564
O 0.3746 0.1379 0.7985
O 0.3890 0.7984 0.3498
O 0.3747 0.3511 0.7151
O 0.3732 0.7080 0.1367
O 0.6260 0.1980 0.6440
O 0.6356 0.8610 0.1981
O 0.6502 0.6467 0.2843
Mg 0.0991 0.5809 0.4641

Output
space-group type	No. 1
magnetization	0.00	μB per formula unit
calculated density	6.37	g/cm³

ii:
The following is a DFT calculation (PBE) of a relaxed structure of MgTl2Pb16Br18O8.

Lattice parameters (Å, degrees): 8.4830 12.6018 12.8021 90.39 88.37 89.57
Positions (direct):
Pb 0.3581 0.8853 0.1954
Pb 0.1885 0.6711 0.0188
Pb 0.1659 0.4795 0.6496
Pb 0.6545 0.6913 0.1136
Pb 0.3549 0.3173 0.8733
Pb 0.6266 0.3930 0.6673
Pb 0.3553 0.1870 0.6106
Pb 0.1872 0.0227 0.8350
Pb 0.8224 0.9790 0.1640
Pb 0.3628 0.6105 0.3013
Pb 0.6432 0.8058 0.3829
Pb 0.8259 0.5176 0.3308
Pb 0.8189 0.1621 0.5044
Pb 0.6538 0.1286 0.7975
Pb 0.8747 0.2853 0.1135
Pb 0.1713 0.8326 0.4756
O 0.6256 0.2058 0.6297
O 0.6334 0.6423 0.2938
O 0.6302 0.8563 0.2026
O 0.3623 0.3588 0.6900
O 0.6223 0.3118 0.8365
O 0.3804 0.7029 0.1391
O 0.3764 0.1456 0.7911
O 0.3727 0.7948 0.3552
Br 0.5980 0.3675 0.4216
Br 0.1183 0.0355 0.3673
Br 0.9944 0.2572 0.7520
Br 0.8799 0.6310 0.5311
Br 0.0034 0.7541 0.2492
Br 0.3813 0.9275 0.6310
Br 0.8724 0.9651 0.6265
Br 0.5923 0.0662 0.3669
Br 0.1103 0.3616 0.4550
Br 0.3962 0.6269 0.5587
Br 0.5846 0.4375 0.1283
Br 0.1427 0.1274 0.0448
Br 0.8909 0.8669 0.9619
Br 0.6045 0.1245 0.0611
Br 0.8922 0.5516 0.8498
Br 0.3979 0.5725 0.8591
Br 0.1159 0.4681 0.1350
Br 0.3995 0.8727 0.9320
Tl 0.3302 0.2533 0.2485
Tl 0.6619 0.7568 0.7491
Mg 0.8093 0.3640 0.9066

Output
space-group type	No. 1
magnetization	0.00	μB per formula unit
calculated density	6.45	g/cm³

It is ii that is most stable; the runner-up trails by 26 meV per atom.

i:
The following is a DFT calculation (PBE) of a relaxed structure of MgTl2Pb16Br18O8.

Lattice parameters (Å, degrees): 8.4456 12.6109 12.6109 90.00 90.00 90.00
Positions (direct):
Br 0.8848 0.9630 0.6322
Br 0.8848 0.8678 0.9630
Br 0.4032 0.9325 0.6295
Br 0.0003 0.7500 0.2500
Br 0.5993 0.0680 0.3700
Br 0.1139 0.4620 0.1330
Br 0.5993 0.1300 0.0680
Br 0.1139 0.0380 0.3670
Br 0.4032 0.6295 0.5675
Br 0.5993 0.4320 0.1300
Br 0.1139 0.3670 0.4620
Br 0.4032 0.8705 0.9325
Br 0.1139 0.1330 0.0380
Br 0.0003 0.2500 0.7500
Br 0.8848 0.5370 0.8678
Br 0.8848 0.6322 0.5370
Br 0.5993 0.3700 0.4320
Br 0.4032 0.5675 0.8705
Pb 0.8224 0.9816 0.1660
Pb 0.6450 0.1136 0.8057
Pb 0.6450 0.3864 0.6943
Pb 0.1765 0.4815 0.6654
Pb 0.8224 0.3340 0.9816
Pb 0.1765 0.6654 0.0185
Pb 0.1765 0.0185 0.8346
Pb 0.6450 0.8057 0.3864
Pb 0.1765 0.8346 0.4815
Pb 0.6450 0.6943 0.1136
Pb 0.3549 0.3053 0.8867
Pb 0.3549 0.6133 0.3053
Pb 0.8224 0.5184 0.3340
Pb 0.3549 0.8867 0.1947
Pb 0.8224 0.1660 0.5184
Pb 0.3549 0.1947 0.6133
O 0.3720 0.7959 0.3583
O 0.6279 0.6418 0.2960
O 0.6279 0.2960 0.8582
O 0.6279 0.8582 0.2040
O 0.6279 0.2040 0.6418
O 0.3720 0.3583 0.7041
O 0.3720 0.7041 0.1417
O 0.3720 0.1417 0.7959
Tl 0.3321 0.2500 0.2500
Tl 0.6695 0.7500 0.7500
Mg 0.1073 0.7500 0.7500

Output
space-group type	No. 75
magnetization	0.00	μB per formula unit
calculated density	6.57	g/cm³

ii:
The following is a DFT calculation (PBE) of a relaxed structure of MgTl2Pb16Br18O8.

Lattice parameters (Å, degrees): 8.5803 12.7283 12.7362 91.27 90.00 90.00
Positions (direct):
Tl 0.3163 0.2500 0.2500
Tl 0.6306 0.7500 0.7500
Pb 0.8277 0.5096 0.3503
Pb 0.8277 0.9904 0.1497
Pb 0.3923 0.6168 0.3040
Pb 0.1776 0.6610 0.0327
Pb 0.1731 0.4731 0.6649
Pb 0.6274 0.8057 0.4698
Pb 0.6399 0.1171 0.8067
Pb 0.3545 0.1905 0.6151
Pb 0.6399 0.3829 0.6933
Pb 0.1731 0.0269 0.8351
Pb 0.8173 0.1580 0.5217
Pb 0.3923 0.8832 0.1960
Pb 0.8173 0.3420 0.9783
Pb 0.6274 0.6943 0.0302
Pb 0.1776 0.8390 0.4673
Pb 0.3545 0.3095 0.8849
O 0.3911 0.7025 0.1374
O 0.6509 0.8565 0.1639
O 0.6247 0.1998 0.6433
O 0.6509 0.6435 0.3361
O 0.3715 0.3549 0.7023
O 0.3911 0.7975 0.3626
O 0.3715 0.1451 0.7977
O 0.6247 0.3002 0.8567
Br 0.8697 0.5425 0.8691
Br 0.6080 0.3566 0.4282
Br 0.3821 0.8771 0.9322
Br 0.3736 0.9333 0.6381
Br 0.1141 0.1456 0.0379
Br 0.1188 0.4604 0.1379
Br 0.3821 0.6229 0.5678
Br 0.9008 0.8710 0.9544
Br 0.1188 0.0396 0.3621
Br 0.6053 0.4533 0.1230
Br 0.9936 0.2500 0.7500
Br 0.8697 0.9575 0.6309
Br 0.6053 0.0467 0.3770
Br 0.3736 0.5667 0.8619
Br 0.1141 0.3544 0.4621
Br 0.6080 0.1434 0.0718
Br 0.0350 0.7500 0.2500
Br 0.9008 0.6290 0.5456
Mg 0.7415 0.7500 0.2500

Output
space-group type	No. 3
magnetization	2.00	μB per formula unit
calculated density	6.35	g/cm³

It is ii that is most stable; the runner-up trails by 8 meV per atom.